A plane-wave DFT calculation with PBE-GGA was carried out for NaTiS2 after structural relaxation.

Lattice parameters (Å, degrees): 3.5184 3.5184 16.3214 90.00 90.00 120.14
Closest atoms and distances in Å follow each position.
Sites, in units of the cell vectors:
Na: 0.1667 0.8333 0.7500  2 S 2.66
Na: 0.8333 0.1667 0.2500  2 S 2.66
Ti: 0.5000 0.5000 0.0000  6 S 2.48
Ti: 0.5000 0.5000 0.5000  6 S 2.48
S: 0.1671 0.8329 0.5868  3 Ti 2.48, 1 Na 2.66
S: 0.1671 0.8329 0.9132  3 Ti 2.48, 1 Na 2.66
S: 0.8329 0.1671 0.0868  3 Ti 2.48, 1 Na 2.66
S: 0.8329 0.1671 0.4132  3 Ti 2.48, 1 Na 2.66

Summary:
total moment = 0.00 μB/atom
VASP energy = -5.49 eV/atom
space group = Cmcm

A plane-wave DFT calculation with PBE-GGA was carried out for Rb2LiSb2O4 after structural relaxation.

Lattice parameters (Å, degrees): 5.7294 6.3870 6.4506 119.20 97.41 98.23
Closest atoms and distances in Å follow each position.
Sites, in units of the cell vectors:
Rb: 0.0000 0.0000 0.0000  4 O 2.80-3.03
Rb: 0.3170 0.7825 0.4886  3 O 2.89-3.19
Li: 0.7432 0.4597 0.1458  3 O 1.92-2.05
Sb: 0.3257 0.4743 0.8449  2 O 1.95-2.01
Sb: 0.7634 0.3152 0.5615  3 O 1.96-2.14
O: 0.1080 0.2292 0.5157  2 Sb 2.01-2.14
O: 0.4136 0.2654 0.9683  1 Sb 1.95, 1 Li 1.95
O: 0.8328 0.5793 0.4895  1 Li 1.92, 1 Sb 1.96
O: 0.9502 0.4860 0.9200  1 Li 2.05, 2 Sb 2.06-2.27

Summary:
total moment = 0.00 μB/atom
VASP energy = -4.94 eV/atom
space group = P1
polymorph energy (0 for the lowest one) = 0.000 eV/atom

A plane-wave DFT calculation with PBE-GGA was carried out for Ti3CuSn2P6O24 after structural relaxation.

Lattice parameters (Å, degrees): 9.0116 9.0116 9.0116 57.39 57.39 57.39
Closest atoms and distances in Å follow each position.
Sites, in units of the cell vectors:
Ti: 0.0000 0.0000 0.0000  6 O 1.96-1.99
Ti: 0.2079 0.2079 0.2079  6 O 1.90-2.01
Ti: 0.5060 0.5060 0.5060  6 O 1.90-2.09
Cu: 0.7039 0.7039 0.7039  6 O 1.97-2.20
Sn: 0.3571 0.3571 0.3571  6 O 2.46-2.58
Sn: 0.8435 0.8435 0.8435  3 O 2.27
P: 0.1081 0.8179 0.3909  4 O 1.53-1.56
P: 0.3181 0.6072 0.8968  4 O 1.50-1.58
P: 0.3909 0.1081 0.8179  4 O 1.53-1.56
P: 0.6072 0.8968 0.3181  4 O 1.50-1.58
P: 0.8179 0.3909 0.1081  4 O 1.53-1.56
P: 0.8968 0.3181 0.6072  4 O 1.50-1.58
O: 0.0657 0.8526 0.2277  1 P 1.55
O: 0.0784 0.2829 0.4337  1 P 1.56
O: 0.1319 0.7790 0.9199  1 P 1.56
O: 0.1579 0.9794 0.3491  1 P 1.55
O: 0.2277 0.0657 0.8526  1 P 1.55
O: 0.2829 0.4337 0.0784  1 P 1.56
O: 0.2831 0.6332 0.4125  1 P 1.56
O: 0.3491 0.1579 0.9794  1 P 1.55
O: 0.3539 0.5689 0.7270  1 P 1.58
O: 0.4125 0.2831 0.6332  1 P 1.56
O: 0.4337 0.0784 0.2829  1 P 1.56
O: 0.4758 0.6383 0.8778  1 P 1.50
O: 0.5689 0.7270 0.3539  1 P 1.58
O: 0.5753 0.9395 0.8002  1 P 1.53
O: 0.6332 0.4125 0.2831  1 P 1.56
O: 0.6383 0.8778 0.4758  1 P 1.50
O: 0.7270 0.3539 0.5689  1 P 1.58
O: 0.7790 0.9199 0.1319  1 P 1.56
O: 0.8002 0.5753 0.9395  1 P 1.53
O: 0.8526 0.2277 0.0657  1 P 1.55
O: 0.8778 0.4758 0.6383  1 P 1.50
O: 0.9199 0.1319 0.7790  1 P 1.56
O: 0.9395 0.8002 0.5753  1 P 1.53
O: 0.9794 0.3491 0.1579  1 P 1.55

Summary:
total moment = 0.03 μB/atom
VASP energy = -7.44 eV/atom
space group = R3

A plane-wave DFT calculation with PBE-GGA was carried out for TiCrAgS4 after structural relaxation.

Lattice parameters (Å, degrees): 3.4872 12.8579 11.2166 90.00 90.00 90.00
Closest atoms and distances in Å follow each position.
Sites, in units of the cell vectors:
Ti: 0.0000 0.1307 0.0000  6 S 2.40-2.47
Ti: 0.0000 0.3469 0.5390  6 S 2.41-2.48
Ti: 0.0000 0.6531 0.0390  6 S 2.41-2.48
Ti: 0.0000 0.8693 0.5000  6 S 2.40-2.47
Cr: 0.5000 0.1607 0.3658  6 S 2.38-2.50
Cr: 0.5000 0.3593 0.8957  6 S 2.35-2.45
Cr: 0.5000 0.6407 0.3957  6 S 2.35-2.45
Cr: 0.5000 0.8393 0.8658  6 S 2.38-2.50
Ag: 0.0000 0.0645 0.6917  8 S 2.80-3.14
Ag: 0.0000 0.9355 0.1917  8 S 2.80-3.14
Ag: 0.5000 0.4283 0.1992  7 S 2.78-2.95
Ag: 0.5000 0.5717 0.6992  7 S 2.78-2.95
S: 0.0000 0.0400 0.4131  2 Cr 2.39, 1 Ti 2.40
S: 0.0000 0.2841 0.3321  2 Cr 2.39, 1 Ti 2.46
S: 0.0000 0.3184 0.0352  2 Cr 2.40, 1 Ti 2.44
S: 0.0000 0.3970 0.7525  2 Cr 2.42, 1 Ti 2.48
S: 0.0000 0.6030 0.2525  2 Cr 2.42, 1 Ti 2.48
S: 0.0000 0.6816 0.5352  2 Cr 2.40, 1 Ti 2.44
S: 0.0000 0.7159 0.8321  2 Cr 2.39, 1 Ti 2.46
S: 0.0000 0.9600 0.9131  2 Cr 2.39, 1 Ti 2.40
S: 0.5000 0.1029 0.1526  2 Ti 2.47, 1 Cr 2.50
S: 0.5000 0.1793 0.8571  1 Cr 2.35, 2 Ti 2.45
S: 0.5000 0.2156 0.5680  1 Cr 2.38, 2 Ti 2.45
S: 0.5000 0.4662 0.4825  2 Ti 2.41, 1 Cr 2.45
S: 0.5000 0.5338 0.9825  2 Ti 2.41, 1 Cr 2.45
S: 0.5000 0.7844 0.0680  1 Cr 2.38, 2 Ti 2.45
S: 0.5000 0.8207 0.3571  1 Cr 2.35, 2 Ti 2.45
S: 0.5000 0.8971 0.6526  2 Ti 2.47, 1 Cr 2.50

Summary:
total moment = 0.43 μB/atom
VASP energy = -6.01 eV/atom
space group = Pmc2_1
polymorph energy (0 for the lowest one) = 0.084 eV/atom

A plane-wave DFT calculation with PBE-GGA was carried out for Cs2PdI2Br4 after structural relaxation.

Lattice parameters (Å, degrees): 7.5493 7.5493 8.9255 124.34 124.34 68.20
Closest atoms and distances in Å follow each position.
Sites, in units of the cell vectors:
Cs: 0.2458 0.2458 0.2241  8 Br 3.79-3.96
Cs: 0.7542 0.7542 0.7759  8 Br 3.79-3.96
Pd: 0.0000 0.0000 0.5000  4 Br 2.48
I: 0.3431 0.3431 0.8492  1 I 2.87, 1 Pd 3.15
I: 0.6569 0.6569 0.1508  1 I 2.87, 1 Pd 3.15
Br: 0.1915 0.7771 0.6815  1 Pd 2.48
Br: 0.2229 0.8085 0.3185  1 Pd 2.48
Br: 0.7771 0.1915 0.6815  1 Pd 2.48
Br: 0.8085 0.2229 0.3185  1 Pd 2.48

Summary:
total moment = 0.00 μB/atom
VASP energy = -2.79 eV/atom
space group = C2/m

A plane-wave DFT calculation with PBE-GGA was carried out for Li3YBr6 after structural relaxation.

Lattice parameters (Å, degrees): 6.9374 6.9374 13.4012 94.85 94.85 119.51
Closest atoms and distances in Å follow each position.
Sites, in units of the cell vectors:
Li: 0.0924 0.9076 0.7500  6 Br 2.76-2.93
Li: 0.1602 0.3206 0.9995  6 Br 2.72-2.96
Li: 0.3206 0.1602 0.4995  6 Br 2.72-2.96
Li: 0.6794 0.8398 0.5005  6 Br 2.72-2.96
Li: 0.8398 0.6794 0.0005  6 Br 2.72-2.96
Li: 0.9076 0.0924 0.2500  6 Br 2.76-2.93
Y: 0.0000 0.5000 0.5000  6 Br 2.80-2.82
Y: 0.5000 0.0000 0.0000  6 Br 2.80-2.82
Br: 0.0401 0.2006 0.6188  3 Li 2.72-2.93, 1 Y 2.82
Br: 0.1221 0.6342 0.8809  3 Li 2.75-2.90, 1 Y 2.81
Br: 0.2006 0.0401 0.1188  3 Li 2.72-2.93, 1 Y 2.82
Br: 0.2848 0.4445 0.3790  3 Li 2.74-2.96, 1 Y 2.80
Br: 0.3658 0.8779 0.6191  3 Li 2.75-2.90, 1 Y 2.81
Br: 0.4445 0.2848 0.8790  3 Li 2.74-2.96, 1 Y 2.80
Br: 0.5555 0.7152 0.1210  3 Li 2.74-2.96, 1 Y 2.80
Br: 0.6342 0.1221 0.3809  3 Li 2.75-2.90, 1 Y 2.81
Br: 0.7152 0.5555 0.6210  3 Li 2.74-2.96, 1 Y 2.80
Br: 0.7994 0.9599 0.8812  3 Li 2.72-2.93, 1 Y 2.82
Br: 0.8779 0.3658 0.1191  3 Li 2.75-2.90, 1 Y 2.81
Br: 0.9599 0.7994 0.3812  3 Li 2.72-2.93, 1 Y 2.82

Summary:
total moment = 0.00 μB/atom
VASP energy = -3.88 eV/atom
space group = C2/c

A plane-wave DFT calculation with PBE-GGA was carried out for GaTeCl after structural relaxation.

Lattice parameters (Å, degrees): 5.9831 15.9060 4.1614 90.00 90.00 90.00
Closest atoms and distances in Å follow each position.
Sites, in units of the cell vectors:
Ga: 0.0284 0.1911 0.0000  1 Cl 2.20
Ga: 0.4716 0.6911 0.5000  1 Cl 2.20
Ga: 0.5284 0.3089 0.5000  1 Cl 2.20
Ga: 0.9716 0.8089 0.0000  1 Cl 2.20
Te: 0.2467 0.8358 0.5000  3 Ga 2.67-2.69
Te: 0.2533 0.3358 0.0000  3 Ga 2.67-2.69
Te: 0.7467 0.6642 0.0000  3 Ga 2.67-2.69
Te: 0.7533 0.1642 0.5000  3 Ga 2.67-2.69
Cl: 0.2408 0.5835 0.5000  1 Ga 2.20
Cl: 0.2592 0.0835 0.0000  1 Ga 2.20
Cl: 0.7408 0.9165 0.0000  1 Ga 2.20
Cl: 0.7592 0.4165 0.5000  1 Ga 2.20

Summary:
VASP energy = -3.39 eV/atom
space group = Pnnm

A plane-wave DFT calculation with PBE-GGA was carried out for Cs2LiF3 after structural relaxation.

Lattice parameters (Å, degrees): 11.0490 11.0490 6.1918 90.00 90.00 159.84
Closest atoms and distances in Å follow each position.
Sites, in units of the cell vectors:
Cs: 0.0842 0.9158 0.7500  8 F 3.08-3.14
Cs: 0.2984 0.7016 0.7500  6 F 2.92-3.10
Cs: 0.7016 0.2984 0.2500  6 F 2.92-3.10
Cs: 0.9158 0.0842 0.2500  8 F 3.08-3.14
Li: 0.4528 0.5472 0.7500  2 F 1.86
Li: 0.5472 0.4528 0.2500  2 F 1.86
F: 0.0912 0.9088 0.2500  2 Li 2.16
F: 0.3023 0.6977 0.2500  6 Cs 2.92-3.14
F: 0.5000 0.5000 0.0000  2 Li 1.86
F: 0.5000 0.5000 0.5000  2 Li 1.86
F: 0.6977 0.3023 0.7500  6 Cs 2.92-3.14
F: 0.9088 0.0912 0.7500  2 Li 2.16

Summary:
total moment = 0.00 μB/atom
VASP energy = -4.25 eV/atom
space group = Cmcm

Here are the calculated formation energy numbers, same order: -1.37; -1.70; -2.70; -1.02; -1.19; -2.00; -0.92; -2.90 (eV per atom).